1.
Density functional theory data (PBE) for an optimized crystal structure of Nb6Si7Ni16.

Calculated values
Space group: No. 225
Energy of formation in eV per atom: -0.594

Structure (extended XYZ):
```
29
Lattice="0.000 5.629 5.629 5.629 0.000 5.629 5.629 5.629 0.000" Properties=species:S:1:pos:R:3 pbc="T T T"
Nb 5.629 5.629 2.288
Nb 5.629 2.288 5.629
Nb 8.971 5.629 5.629
Nb 2.288 5.629 5.629
Nb 5.629 8.971 5.629
Nb 5.629 5.629 8.971
Si 2.815 2.815 0.000
Si 2.815 0.000 2.815
Si 5.629 2.815 2.815
Si 0.000 2.815 2.815
Si 2.815 5.629 2.815
Si 2.815 2.815 5.629
Si 5.629 5.629 5.629
Ni 6.942 4.317 4.317
Ni 1.894 1.894 1.894
Ni 3.735 3.735 1.894
Ni 3.735 1.894 3.735
Ni 4.317 4.317 4.317
Ni 6.942 6.942 4.317
Ni 6.942 4.317 6.942
Ni 1.894 3.735 3.735
Ni 9.364 7.524 7.524
Ni 4.317 6.942 4.317
Ni 4.317 4.317 6.942
Ni 6.942 6.942 6.942
Ni 7.524 9.364 7.524
Ni 7.524 7.524 9.364
Ni 9.364 9.364 9.364
Ni 4.317 6.942 6.942
```


2.
Density functional theory data (PBE) for an optimized crystal structure of NbSiNi.

Calculated values
Magnetic moment in μB/f.u.: 0.000
Space group: No. 62
Energy of formation in eV per atom: -0.721

Structure (extended XYZ):
```
12
Lattice="6.241 0.000 0.000 0.000 3.693 0.000 0.000 0.000 7.079" Properties=species:S:1:pos:R:3 pbc="T T T"
Nb 0.118 0.923 1.249
Nb 3.002 2.770 4.788
Nb 3.238 0.923 2.291
Nb 6.122 2.770 5.830
Si 1.369 2.770 2.711
Si 1.751 0.923 6.250
Si 4.489 2.770 0.829
Si 4.871 0.923 4.368
Ni 0.965 0.923 4.017
Ni 2.155 2.770 0.477
Ni 4.085 0.923 6.602
Ni 5.276 2.770 3.062
```


3.
Density functional theory data (PBE) for an optimized crystal structure of NbNiTe2.

Calculated values
Space group: No. 53
Energy of formation in eV per atom: -0.655

Structure (extended XYZ):
```
16
Lattice="8.024 0.000 0.000 0.000 7.481 0.000 0.000 0.000 6.306" Properties=species:S:1:pos:R:3 pbc="T T T"
Nb 1.655 0.000 0.000
Nb 2.357 0.000 3.153
Nb 5.667 0.000 3.153
Nb 6.369 0.000 0.000
Ni 0.000 0.879 2.244
Ni 0.000 6.603 4.062
Ni 4.012 0.879 0.909
Ni 4.012 6.603 5.397
Te 0.000 1.636 4.736
Te 0.000 5.845 1.570
Te 2.006 2.342 1.577
Te 2.006 5.139 4.730
Te 4.012 1.636 4.723
Te 4.012 5.845 1.583
Te 6.018 2.342 1.577
Te 6.018 5.139 4.730
```